Compound: Pr6Mn23
Source: the Materials Project
Functional: PBE-GGA
Structure: relaxed

Properties
V: 15.719 A^3/atom
energy of formation: 0.227 eV per atom
space-group type: Fm-3m (225)
energy: -232.8 eV/cell

Cell lengths 8.639, 8.639, 8.639 Å; angles 60.00, 60.00, 60.00 degrees
Fractional coordinates of all 29 atoms:
Mn  0.000  0.000  0.000
Mn  0.360  0.880  0.880
Mn  0.681  0.681  0.956
Mn  0.319  0.319  0.319
Mn  0.319  0.044  0.319
Mn  0.880  0.880  0.880
Mn  0.681  0.681  0.681
Mn  0.120  0.120  0.640
Mn  0.500  0.000  0.000
Mn  0.880  0.360  0.880
Mn  0.000  0.000  0.500
Mn  0.000  0.500  0.000
Mn  0.319  0.319  0.044
Mn  0.000  0.500  0.500
Mn  0.681  0.956  0.681
Mn  0.880  0.880  0.360
Mn  0.956  0.681  0.681
Mn  0.120  0.640  0.120
Mn  0.120  0.120  0.120
Mn  0.640  0.120  0.120
Mn  0.500  0.000  0.500
Mn  0.500  0.500  0.000
Mn  0.044  0.319  0.319
Pr  0.705  0.705  0.295
Pr  0.705  0.295  0.295
Pr  0.705  0.295  0.705
Pr  0.295  0.705  0.295
Pr  0.295  0.295  0.705
Pr  0.295  0.705  0.705